Sr2YCu2SbO7 (PBE, optimized geometry); final energy = -6.358 eV/atom; SG = Ima2 (46)
1.0
-2.713 2.728 12.329
2.713 -2.728 12.329
2.713 2.728 -12.329
Sr Y Cu Sb O
4 2 4 2 14
direct
0.635 0.661 0.012
0.365 0.377 0.025
0.148 0.161 0.025
0.852 0.877 0.012
0.000 0.015 0.015
0.500 0.515 0.015
0.567 0.082 0.516
0.433 0.949 0.515
0.066 0.582 0.515
0.934 0.449 0.516
0.258 0.741 0.498
0.742 0.241 0.483
0.614 0.881 0.995
0.386 0.381 0.267
0.805 0.819 0.505
0.195 0.700 0.015
0.815 0.319 0.015
0.185 0.200 0.505
0.314 0.330 0.525
0.686 0.211 0.016
0.305 0.830 0.016
0.695 0.711 0.525
0.175 0.677 0.525
0.825 0.350 0.502
0.652 0.177 0.502
0.348 0.850 0.525

SrEuHfSnO6 (PBE, optimized geometry); final energy = -8.324 eV/atom; SG = F-43m (216)
1.0
-1.990 -0.664 -5.438
-5.696 -0.798 -0.942
-3.163 4.220 -2.481
Sr Eu Hf Sn O
1 1 1 1 6
direct
0.750 0.750 0.750
0.250 0.250 0.250
0.000 0.000 0.000
0.500 0.500 0.500
0.750 0.250 0.250
0.250 0.750 0.750
0.750 0.250 0.750
0.250 0.750 0.250
0.750 0.750 0.250
0.250 0.250 0.750

CrN2 (PBE, optimized geometry); maximum piezoelectric response = 1.99 C/m2; final energy = -8.378 eV/atom; SG = P2 (3)
1.0
4.609 0.000 0.000
0.000 4.588 0.000
0.000 0.813 8.244
Cr N
4 8
direct
0.016 0.167 0.319
0.016 0.833 0.681
0.420 0.408 0.811
0.420 0.592 0.189
0.243 0.083 0.785
0.243 0.917 0.215
0.313 0.500 0.000
0.268 0.396 0.370
0.268 0.604 0.630
0.878 0.000 0.500
0.755 0.579 0.778
0.755 0.421 0.222

It is found that the mass density values, taken in the order of the records, are 5687; 7505; 3049 kg/m3.